No. 1
Entry from the Materials Project: crystalline LiNb3O8 at its relaxed geometry (PBE).

Geometry as extended XYZ:
```
48
Lattice="5.102 0.000 0.000 0.000 7.632 0.000 0.000 4.570 14.902" Properties=species:S:1:pos:R:3 pbc="T T T"
Li 3.871 2.355 1.183
Li 3.781 4.640 8.634
Li 1.231 9.847 13.719
Li 1.320 7.562 6.268
Nb 3.770 7.774 12.440
Nb 1.219 6.713 9.913
Nb 1.332 4.428 2.462
Nb 3.883 5.489 4.989
Nb 1.239 6.128 13.793
Nb 3.790 8.359 8.560
Nb 3.863 6.074 1.109
Nb 1.312 3.843 6.342
Nb 3.728 3.867 12.388
Nb 1.177 10.620 9.965
Nb 1.374 8.335 2.514
Nb 3.925 1.582 4.937
O 2.144 4.412 13.395
O 4.695 10.075 8.958
O 2.958 7.790 1.507
O 0.407 2.127 5.944
O 2.885 7.026 14.161
O 0.334 7.461 8.192
O 2.217 5.176 0.741
O 4.768 4.742 6.710
O 4.679 5.531 12.596
O 2.974 3.246 5.145
O 0.423 6.671 2.306
O 2.128 8.956 9.757
O 4.757 1.647 3.249
O 2.206 8.270 4.202
O 0.345 10.555 11.653
O 2.896 3.932 10.700
O 4.598 7.195 5.146
O 2.047 2.722 2.306
O 0.504 5.007 9.757
O 3.055 9.480 12.597
O 0.438 4.473 4.218
O 2.989 5.444 3.233
O 4.664 7.729 10.684
O 2.113 6.758 11.669
O 3.088 8.606 6.866
O 0.537 1.312 0.585
O 2.013 3.597 8.036
O 4.564 10.890 14.317
O 2.243 5.640 5.976
O 4.793 4.278 1.475
O 2.859 6.563 8.926
O 0.308 7.925 13.427
```

DFT formation energy   -2981 meV per atom
Mass density   4735 kg/m3

=====

No. 2
Entry from the Materials Project: crystalline LiNb2O at its relaxed geometry (PBE).

Geometry as extended XYZ:
```
8
Lattice="1.438 -2.491 0.000 1.438 2.491 0.000 0.000 0.000 16.761" Properties=species:S:1:pos:R:3 pbc="T T T"
Li 1.438 0.830 4.190
Li 1.438 -0.830 12.571
Nb 1.438 0.830 9.965
Nb 1.438 -0.830 6.797
Nb 1.438 -0.830 1.584
Nb 1.438 0.830 15.178
O 0.000 0.000 0.000
O 0.000 0.000 8.381
```

DFT formation energy   -725 meV per atom
Mass density   5773 kg/m3

=====

No. 3
Entry from the Materials Project: crystalline LiNb8O10 at its relaxed geometry (PBE).

Geometry as extended XYZ:
```
38
Lattice="-3.079 3.079 12.880 3.079 -3.079 12.880 3.079 3.079 -12.880" Properties=species:S:1:pos:R:3 pbc="T T T"
Li 0.000 0.000 12.880
Li 3.079 0.000 6.440
Nb -1.565 3.079 7.719
Nb 1.576 0.000 16.128
Nb 0.000 1.565 1.279
Nb 3.079 -1.576 9.688
Nb 0.000 1.576 9.632
Nb 0.000 4.593 1.279
Nb 3.079 1.576 9.688
Nb 0.000 1.514 5.161
Nb 1.503 0.000 3.192
Nb 1.503 3.079 3.248
Nb -1.514 3.079 11.601
Nb 4.655 0.000 3.192
Nb 1.565 3.079 7.719
Nb 0.000 4.643 5.161
Nb 3.079 1.503 -3.248
Nb 1.514 3.079 11.601
O 1.679 0.000 18.341
O 3.079 -1.679 11.900
O 0.000 1.679 7.420
O 0.000 1.650 11.786
O 3.079 1.679 11.900
O 1.650 0.000 13.975
O 1.399 0.000 0.980
O 1.428 0.000 5.346
O 1.399 3.079 5.460
O 1.539 0.000 9.660
O 1.539 3.079 -3.220
O 4.729 0.000 5.346
O 1.428 3.079 1.094
O 3.079 1.399 -5.460
O 3.079 1.428 -1.094
O 3.079 -1.650 7.534
O 3.079 1.650 7.534
O 3.079 1.539 3.220
O 0.000 1.539 16.100
O 4.758 0.000 0.980
```

DFT formation energy   -2389 meV per atom
Mass density   6190 kg/m3

=====

No. 4
Entry from the Materials Project: crystalline Li7NbO6 at its relaxed geometry (PBE).

Geometry as extended XYZ:
```
14
Lattice="-2.464 3.739 3.834 -5.317 -0.872 2.391 -0.802 -1.286 5.696" Properties=species:S:1:pos:R:3 pbc="T T T"
Li -3.510 -0.901 5.787
Li -3.205 0.426 7.745
Li -5.925 -0.560 5.918
Li -5.618 1.035 7.804
Li -2.841 1.970 5.888
Li -5.172 1.053 4.331
Li -5.085 2.753 6.083
Nb -0.002 0.000 0.003
O -4.677 -0.832 7.450
O -1.944 0.319 6.142
O -4.706 -0.909 4.316
O -3.919 2.282 7.584
O -6.462 1.323 5.880
O -4.014 2.554 4.355
```

DFT formation energy   -2410 meV per atom
Mass density   2938 kg/m3
Piezoelectric modulus e_max   0.8 C/m²

=====

No. 5
Entry from the Materials Project: crystalline Li3Nb4O12 at its relaxed geometry (PBE).

Geometry as extended XYZ:
```
19
Lattice="-5.684 -3.002 -7.467 -7.436 -5.605 -3.218 -8.951 -0.617 -4.070" Properties=species:S:1:pos:R:3 pbc="T T T"
Li -3.114 -1.301 -2.082
Li -19.669 -8.220 -13.149
Li -7.974 -3.332 -5.330
Nb -0.173 -0.072 -0.115
Nb -11.107 -4.642 -7.425
Nb -16.663 -6.964 -11.139
Nb -5.559 -2.323 -3.716
O -11.210 -4.320 -9.337
O -9.489 -2.567 -4.255
O -7.614 -2.479 -7.114
O -7.699 -5.319 -5.212
O -9.081 -5.133 -7.680
O -10.442 -2.663 -7.187
O -11.518 -6.538 -7.488
O -12.898 -4.031 -6.991
O -5.438 -3.010 -5.508
O -7.078 -1.233 -4.165
O -6.684 -3.780 -3.162
O -10.744 -4.852 -5.367
```

DFT formation energy   -2781 meV per atom
Mass density   4286 kg/m3

=====

No. 6
Entry from the Materials Project: crystalline Li3NbO4 at its relaxed geometry (PBE).

Geometry as extended XYZ:
```
32
Lattice="-4.265 4.265 4.265 4.265 -4.265 4.265 4.265 4.265 -4.265" Properties=species:S:1:pos:R:3 pbc="T T T"
Li 1.037 5.185 1.037
Li 1.037 3.344 -1.037
Li -1.037 3.344 1.037
Li 0.920 3.228 3.228
Li 3.228 0.920 3.228
Li 5.185 1.037 1.037
Li 1.037 -1.037 3.344
Li 3.344 -1.037 1.037
Li 1.037 1.037 5.185
Li 3.344 1.037 -1.037
Li -1.037 1.037 3.344
Li 3.228 3.228 0.920
Nb 3.067 3.067 -3.067
Nb 3.067 -3.067 3.067
Nb -3.067 3.067 3.067
Nb 1.198 1.198 1.198
O 1.050 3.094 1.050
O 3.215 3.215 -1.171
O -1.050 1.050 5.435
O 1.050 -1.050 5.435
O 3.295 3.295 3.295
O -0.969 0.969 0.969
O 0.969 -0.969 0.969
O 0.969 0.969 -0.969
O 1.050 1.050 3.094
O 1.050 5.435 -1.050
O 5.435 1.050 -1.050
O 3.215 -1.171 3.215
O 5.435 -1.050 1.050
O -1.050 5.435 1.050
O -1.171 3.215 3.215
O 3.094 1.050 1.050
```

DFT formation energy   -2717 meV per atom
Mass density   3805 kg/m3
Piezoelectric modulus e_max   0.0 C/m²

=====

No. 7
Entry from the Materials Project: crystalline Li3NbP3O11 at its relaxed geometry (PBE).

Geometry as extended XYZ:
```
36
Lattice="6.107 0.000 0.000 -1.745 8.044 0.000 -0.427 -2.566 7.937" Properties=species:S:1:pos:R:3 pbc="T T T"
Li 1.708 5.920 6.504
Li 1.960 -0.221 4.259
Li 3.256 1.002 7.518
Li 0.679 4.476 0.419
Li 1.976 5.698 3.678
Li 2.228 -0.443 1.433
Nb 3.904 3.518 5.771
Nb 0.031 1.959 2.166
P 4.865 0.271 4.946
P 0.329 -1.207 6.898
P 2.910 2.284 2.477
P 1.026 3.194 5.460
P 3.607 6.684 1.039
P -0.930 5.207 2.991
O 3.789 -0.811 4.979
O 1.807 -1.386 7.096
O 5.208 0.628 3.520
O 0.182 -0.326 5.501
O 4.479 1.396 5.929
O 0.112 -0.110 1.285
O 2.024 1.004 2.704
O 4.078 1.994 1.497
O 2.054 2.247 6.161
O 3.432 2.801 3.807
O 3.836 3.167 7.932
O 0.099 2.310 0.005
O 0.504 2.676 4.130
O 1.881 3.231 1.776
O -0.143 3.483 6.441
O 1.912 4.473 5.233
O 3.824 5.587 6.652
O -0.543 4.081 2.008
O 3.753 5.803 2.436
O -1.272 4.849 4.417
O 2.129 6.863 0.841
O 0.146 6.288 2.958
```

DFT formation energy   -2671 meV per atom
Mass density   3259 kg/m3

=====

No. 8
Entry from the Materials Project: crystalline Li2NbP2O8 at its relaxed geometry (PBE).

Geometry as extended XYZ:
```
13
Lattice="-4.670 -1.273 0.994 3.456 -3.493 -0.519 1.509 0.370 7.563" Properties=species:S:1:pos:R:3 pbc="T T T"
Li 1.754 -2.506 5.029
Li -1.458 -1.890 3.009
Nb 0.000 0.000 0.000
P 1.099 -2.667 1.750
P -0.804 -1.729 6.289
O 2.403 -2.349 0.904
O 1.392 -2.595 3.215
O -0.021 -1.617 1.352
O 0.588 -4.115 1.353
O -0.293 -0.281 6.686
O 0.316 -2.779 6.687
O -1.097 -1.801 4.823
O -2.108 -2.046 7.135
```

DFT formation energy   -2704 meV per atom
Mass density   3018 kg/m3